1.
Below is a relaxed Na6Ca3TiSi2S4O24 crystal, with properties calculated at the PBE level.

extended XYZ file:
```
120
Lattice="9.336 -0.004 0.061 -4.672 8.105 -0.032 0.160 -0.005 23.021" Properties=species:S:1:pos:R:3 pbc="T T T"
O 6.329 2.973 21.363
O 1.759 5.515 5.858
O 2.181 5.571 22.286
O 2.752 8.047 18.702
O -3.273 6.428 16.048
O 0.736 7.167 1.779
Na 6.198 5.444 21.173
O -0.843 1.812 4.449
O 1.353 3.765 8.441
Si -1.317 3.037 21.178
Na 5.002 2.471 19.057
O 0.808 3.920 17.407
O 3.126 8.075 9.603
O 5.572 4.358 0.634
O 3.726 4.253 14.799
O 4.161 6.512 13.297
O 3.956 6.392 20.933
Ca 4.669 2.794 4.212
O -0.678 3.770 5.827
O 0.908 3.960 1.908
O 1.047 3.547 10.849
Na 1.609 2.369 21.116
O -0.550 6.990 19.940
Ti -0.129 5.561 18.885
O 1.130 1.557 9.513
Ca 0.123 5.429 11.783
O 8.333 1.581 6.922
Na 1.302 8.095 6.029
Ti 4.730 2.593 22.533
O 8.324 1.482 13.409
Ca 0.076 5.367 0.347
Ca 9.426 0.069 19.529
O 5.737 6.322 18.536
Si 3.395 5.051 13.446
Ca 4.597 8.022 15.125
O -2.016 5.118 8.504
O -2.076 5.443 10.919
O 5.558 6.457 9.607
O 2.637 7.576 16.020
O 3.146 2.904 9.770
O 1.017 1.916 16.059
Na 0.137 5.257 3.692
Na 0.244 0.135 22.895
O 5.650 1.249 0.702
S -1.340 2.440 5.709
O 5.573 1.012 3.145
O 8.580 1.527 21.010
O 5.496 1.128 17.330
O 3.135 2.657 0.645
O 1.099 1.283 1.709
O 2.722 2.713 3.346
O -2.832 8.089 20.976
O 3.731 6.299 7.087
O 3.976 0.905 14.575
O 4.005 4.061 12.165
Ti 4.751 2.683 11.136
S 3.267 5.655 5.844
O 6.688 2.832 14.617
S 6.052 5.077 1.855
Na -2.977 5.669 13.387
O 1.193 7.027 10.918
Na 4.871 2.560 7.865
O 1.757 5.199 13.344
Na -1.058 2.749 1.628
Na 1.768 2.940 5.540
O 4.232 1.229 21.337
O 1.880 0.380 13.413
O 3.774 4.001 21.244
Na 3.297 5.595 9.767
O 3.774 1.203 5.735
S 6.036 0.392 1.898
Si 1.806 7.967 17.401
O -0.940 4.164 19.950
O 2.003 0.086 6.882
O -1.042 3.914 13.174
Na 4.561 8.071 11.446
Na -1.743 7.858 1.653
O 5.588 4.061 9.838
S -1.781 8.081 5.684
O -0.837 7.057 13.197
Ca 4.788 2.599 15.857
Ca 0.065 0.035 8.104
O -2.568 8.006 4.438
Na 0.286 5.467 15.529
O -0.989 7.037 22.572
O 5.461 1.415 10.003
O 3.835 4.277 5.796
Si -1.264 7.838 21.229
O 3.612 6.469 4.666
Na 6.599 0.301 20.853
O 1.211 1.767 18.496
O 2.956 2.837 17.272
O 6.516 2.557 12.211
Ca -0.002 5.558 7.504
O -1.802 5.273 1.778
O -1.555 5.508 17.448
O 2.101 5.093 19.903
S -2.859 5.299 9.686
O 5.659 4.306 17.264
Si 1.924 2.699 1.949
S 7.445 2.697 13.388
O -0.883 6.889 5.756
S 1.489 2.582 17.307
O 0.841 7.489 8.244
S 2.974 5.293 21.085
Na 1.460 2.838 13.568
O -0.628 3.575 22.519
O 5.768 4.302 3.062
Si 1.497 7.995 9.655
Na 1.890 7.595 13.405
O 3.791 1.199 12.186
S 3.377 0.365 13.372
O 7.521 0.311 1.871
O 5.416 6.423 1.884
S 1.623 2.929 9.644
O 0.906 6.503 17.673
Ca -4.608 8.086 3.300
S -3.057 5.647 17.293
Na 3.022 5.259 17.077
O 6.505 2.542 5.742
```

Space-group type   P1 (1)
E   -0.234 hartree per atom
Energy of formation from the pure elements   -2.580 eV/atom



2.
Below is a relaxed Lu2Si5Ni3 crystal, with properties calculated at the PBE level.

extended XYZ file:
```
20
Lattice="-2.789 4.820 5.464 2.789 -4.820 5.464 2.789 4.820 -5.464" Properties=species:S:1:pos:R:3 pbc="T T T"
Si 4.184 0.000 2.581
Si 1.395 0.000 2.581
Si 0.000 3.359 4.274
Si 1.395 4.820 0.000
Si 1.395 4.820 2.882
Ni 0.000 1.132 4.001
Si 0.000 8.180 1.189
Ni 1.395 0.000 0.000
Ni 4.184 0.000 0.000
Lu 0.000 2.542 1.423
Si 1.395 0.000 5.464
Si 2.789 1.461 1.189
Lu 2.789 2.542 -1.423
Si -1.395 4.820 2.882
Ni 0.000 5.952 1.463
Ni 2.789 -1.132 4.001
Lu 2.789 2.278 4.041
Lu 0.000 2.278 6.886
Ni 2.789 3.688 1.463
Si 2.789 -3.359 4.274
```

Space-group type   Ibam (72)
E   -0.224 hartree per atom
Energy of formation from the pure elements   -0.755 eV/atom



The lowest E belongs to which entry?
Na6Ca3TiSi2S4O24



What is the energy of formation from the pure elements in the second record?
-0.755 eV/atom



The highest E belongs to which entry?
Lu2Si5Ni3